Entry 1:
VASP calculation (PBE+U) on a relaxed structure of Fe2P2O7.

a b c (Å): 5.6304 6.4190 7.5448
angles (deg): 81.61 94.18 107.37
Closest atoms and distances in Å follow each position.
Element x y z (fractional)
Fe: 0.7082 0.8806 0.3749  5 O 2.04-2.20
Fe: 0.3026 0.0752 0.5308  5 O 2.01-2.20
Fe: 0.7080 0.3804 0.8751  5 O 2.04-2.19
Fe: 0.3028 0.5758 0.0304  5 O 2.01-2.19
P: 0.2095 0.5410 0.6023  4 O 1.53-1.59
P: 0.2096 0.0410 0.1024  4 O 1.53-1.59
P: 0.7875 0.4198 0.2991  4 O 1.54-1.59
P: 0.7875 0.9198 0.7991  4 O 1.54-1.59
O: 0.3717 0.2742 0.0342  1 P 1.54
O: 0.3715 0.7743 0.5343  1 P 1.54
O: 0.3520 0.8711 0.1115  1 P 1.53
O: 0.3518 0.3711 0.6110  1 P 1.53
O: 0.0847 0.5294 0.7798  1 P 1.54
O: 0.0842 0.0294 0.2796  1 P 1.54
O: 0.9886 0.4901 0.4556  2 P 1.59
O: 0.9886 0.9901 0.9556  2 P 1.59
O: 0.9244 0.4317 0.1272  1 P 1.54
O: 0.9247 0.9317 0.6274  1 P 1.54
O: 0.6361 0.5857 0.2796  1 P 1.54
O: 0.6362 0.0859 0.7793  1 P 1.54
O: 0.6341 0.6833 0.8662  1 P 1.54
O: 0.6343 0.1831 0.3661  1 P 1.54

=====

Entry 2:
VASP calculation (PBE+U) on a relaxed structure of Fe3P4O15.

Output
As for the crystal system: orthorhombic. As for the space group: Pna2_1.

a b c (Å): 6.3942 10.8179 17.3967
angles (deg): 90.00 90.00 90.00
Closest atoms and distances in Å follow each position.
Element x y z (fractional)
Fe: 0.5864 0.0061 0.3744  4 O 1.93-1.98
Fe: 0.0864 0.5061 0.1256  4 O 1.93-1.98
Fe: 0.8109 0.2591 0.2446  5 O 1.95-2.09
Fe: 0.0864 0.9939 0.6256  4 O 1.93-1.98
Fe: 0.5864 0.4939 0.8744  4 O 1.93-1.98
Fe: 0.1019 0.5069 0.6602  5 O 1.92-2.09
Fe: 0.1019 0.9931 0.1602  5 O 1.92-2.09
Fe: 0.6019 0.4931 0.3398  5 O 1.92-2.09
Fe: 0.8109 0.2409 0.7446  5 O 1.95-2.09
Fe: 0.3109 0.7409 0.7554  5 O 1.95-2.09
Fe: 0.6019 0.0069 0.8398  5 O 1.92-2.09
Fe: 0.3109 0.7591 0.2554  5 O 1.95-2.09
P: 0.0858 0.4756 0.8223  4 O 1.52-1.59
P: 0.6459 0.2273 0.9480  4 O 1.51-1.61
P: 0.4637 0.7356 0.4274  4 O 1.52-1.61
P: 0.5974 0.5037 0.7082  4 O 1.52-1.59
P: 0.1459 0.7727 0.0520  4 O 1.51-1.61
P: 0.0858 0.0244 0.3223  4 O 1.52-1.59
P: 0.0974 0.0037 0.7918  4 O 1.52-1.59
P: 0.9637 0.2356 0.0726  4 O 1.52-1.61
P: 0.5858 0.9756 0.6777  4 O 1.52-1.59
P: 0.6459 0.2727 0.4480  4 O 1.51-1.61
P: 0.1459 0.7273 0.5520  4 O 1.51-1.61
P: 0.9637 0.2643 0.5726  4 O 1.52-1.61
P: 0.5974 0.9963 0.2082  4 O 1.52-1.59
P: 0.4637 0.7644 0.9274  4 O 1.52-1.61
P: 0.0974 0.4963 0.2918  4 O 1.52-1.59
P: 0.5858 0.5244 0.1777  4 O 1.52-1.59
O: 0.1143 0.5904 0.7660  1 P 1.59
O: 0.6143 0.4096 0.2340  1 P 1.59
O: 0.8674 0.2943 0.4894  2 P 1.61
O: 0.2846 0.4571 0.8689  1 P 1.52
O: 0.1894 0.6891 0.6372  1 P 1.56
O: 0.6243 0.1105 0.2648  1 P 1.59
O: 0.0798 0.1421 0.5635  1 P 1.52
O: 0.0937 0.6354 0.0453  1 P 1.53
O: 0.5504 0.8688 0.7386  1 P 1.58
O: 0.7957 0.5289 0.6617  1 P 1.53
O: 0.5504 0.6312 0.2386  1 P 1.58
O: 0.6243 0.3895 0.7648  1 P 1.59
O: 0.3674 0.7057 0.5106  2 P 1.61
O: 0.2846 0.0429 0.3689  1 P 1.52
O: 0.4858 0.3579 0.4840  1 P 1.51
O: 0.6080 0.8738 0.9127  1 P 1.52
O: 0.3949 0.9932 0.6264  1 P 1.52
O: 0.2957 0.0289 0.8383  1 P 1.53
O: 0.0504 0.3688 0.7614  1 P 1.58
O: 0.1143 0.9096 0.2660  1 P 1.59
O: 0.7846 0.5429 0.1311  1 P 1.52
O: 0.9858 0.6421 0.5160  1 P 1.51
O: 0.7879 0.2433 0.1331  1 P 1.54
O: 0.8949 0.4932 0.8736  1 P 1.52
O: 0.4100 0.0162 0.1559  1 P 1.52
O: 0.0498 0.3895 0.2321  1 P 1.58
O: 0.7846 0.9571 0.6311  1 P 1.52
O: 0.9858 0.8579 0.0160  1 P 1.51
O: 0.5498 0.6105 0.7679  1 P 1.58
O: 0.2957 0.4711 0.3383  1 P 1.53
O: 0.5798 0.6421 0.9365  1 P 1.52
O: 0.6894 0.3109 0.3628  1 P 1.56
O: 0.1080 0.3738 0.5873  1 P 1.52
O: 0.0798 0.3579 0.0635  1 P 1.52
O: 0.9100 0.9838 0.8441  1 P 1.52
O: 0.5498 0.8895 0.2679  1 P 1.58
O: 0.5798 0.8579 0.4365  1 P 1.52
O: 0.8674 0.2057 0.9894  2 P 1.61
O: 0.6080 0.6262 0.4127  1 P 1.52
O: 0.6143 0.0904 0.7340  1 P 1.59
O: 0.5937 0.3646 0.9547  1 P 1.53
O: 0.1080 0.1262 0.0873  1 P 1.52
O: 0.1243 0.8895 0.7352  1 P 1.59
O: 0.8949 0.0068 0.3736  1 P 1.52
O: 0.4858 0.1421 0.9840  1 P 1.51
O: 0.7879 0.2567 0.6331  1 P 1.54
O: 0.0937 0.8646 0.5453  1 P 1.53
O: 0.0504 0.1312 0.2614  1 P 1.58
O: 0.1894 0.8109 0.1372  1 P 1.56
O: 0.4100 0.4838 0.6559  1 P 1.52
O: 0.0498 0.1105 0.7321  1 P 1.58
O: 0.3949 0.5068 0.1264  1 P 1.52
O: 0.7957 0.9711 0.1617  1 P 1.53
O: 0.1243 0.6105 0.2352  1 P 1.59
O: 0.6894 0.1891 0.8628  1 P 1.56
O: 0.9100 0.5162 0.3441  1 P 1.52
O: 0.3674 0.7943 0.0106  2 P 1.61
O: 0.5937 0.1354 0.4547  1 P 1.53
O: 0.2879 0.7433 0.3669  1 P 1.54
O: 0.2879 0.7567 0.8669  1 P 1.54

=====

Entry 3:
VASP calculation (PBE+U) on a relaxed structure of Fe2P5O15.

Output
As for the crystal system: monoclinic. As for the space group: Pc.

a b c (Å): 8.4186 5.2754 13.7159
angles (deg): 70.97 90.00 90.00
Closest atoms and distances in Å follow each position.
Element x y z (fractional)
Fe: 0.2883 0.0707 0.0393  5 O 1.99-2.06
Fe: 0.2893 0.9295 0.4602  4 O 1.99-2.12
Fe: 0.7107 0.9295 0.9602  4 O 1.99-2.12
Fe: 0.7117 0.0707 0.5393  5 O 1.99-2.06
P: 0.9327 0.0046 0.7465  4 O 1.49-1.63
P: 0.5097 0.5219 0.3588  4 O 1.48-1.60
P: 0.5117 0.4766 0.6468  4 O 1.50-1.58
P: 0.4883 0.4766 0.1468  4 O 1.50-1.58
P: 0.8201 0.3352 0.0994  4 O 1.49-1.64
P: 0.1719 0.6694 0.8976  4 O 1.50-1.63
P: 0.4903 0.5219 0.8588  4 O 1.48-1.60
P: 0.1799 0.3352 0.5994  4 O 1.49-1.64
P: 0.8281 0.6694 0.3976  4 O 1.50-1.63
P: 0.0673 0.0046 0.2465  4 O 1.49-1.63
O: 0.2054 0.1165 0.5544  1 P 1.49
O: 0.3237 0.6707 0.8237  2 P 1.60-1.63
O: 0.8057 0.8813 0.4477  1 P 1.50
O: 0.9603 0.7460 0.3105  2 P 1.59-1.63
O: 0.9393 0.2366 0.1962  2 P 1.61
O: 0.4828 0.7659 0.0765  1 P 1.52
O: 0.8383 0.0960 0.8203  1 P 1.49
O: 0.1943 0.8813 0.9477  1 P 1.50
O: 0.3994 0.7036 0.3875  1 P 1.48
O: 0.6191 0.2783 0.6231  1 P 1.50
O: 0.8518 0.3839 0.4665  1 P 1.51
O: 0.8553 0.9193 0.6618  1 P 1.52
O: 0.7946 0.1165 0.0544  1 P 1.49
O: 0.5356 0.2416 0.4344  1 P 1.52
O: 0.4644 0.2416 0.9344  1 P 1.52
O: 0.0397 0.7460 0.8105  2 P 1.59-1.63
O: 0.4410 0.4769 0.2585  2 P 1.58
O: 0.1355 0.6105 0.5330  1 P 1.49
O: 0.6763 0.6707 0.3237  2 P 1.60-1.63
O: 0.5172 0.7659 0.5765  1 P 1.52
O: 0.3809 0.2783 0.1231  1 P 1.50
O: 0.0607 0.2366 0.6962  2 P 1.61
O: 0.1617 0.0960 0.3203  1 P 1.49
O: 0.6006 0.7036 0.8875  1 P 1.48
O: 0.3373 0.3585 0.6660  2 P 1.58-1.64
O: 0.8645 0.6105 0.0330  1 P 1.49
O: 0.1447 0.9193 0.1618  1 P 1.52
O: 0.6627 0.3585 0.1660  2 P 1.58-1.64
O: 0.5590 0.4769 0.7585  2 P 1.58
O: 0.1482 0.3839 0.9665  1 P 1.51

=====

Ordered volume results: 11.70; 13.67; 13.09; unit A^3/atom.
Ordered E_form results: -2.373; -2.239; -2.444; unit eV/atom.